1.
Density functional theory data (r2SCAN) for a relaxed structure of MoW2S6.

Output
Calculated volume, A^3/atom: 27.62
ρ, kg/m³: 4382
Calculated formation energy, meV/atom: -906

Geometry as CIF:
```
data_MoW2S6
_chemical_formula_sum 'Mo1 W2 S6'
_symmetry_space_group_name_H-M 'P 3 m 1'
_symmetry_Int_Tables_number 156
_cell_length_a 3.1846
_cell_length_b 3.1846
_cell_length_c 28.3017
_cell_angle_alpha 90.00
_cell_angle_beta 90.00
_cell_angle_gamma 120.00
loop_
_symmetry_equiv_pos_as_xyz
'x,y,z'
'-y,x-y,z'
'-x+y,-x,z'
'-y,-x,z'
'-x+y,y,z'
'x,x-y,z'
loop_
_atom_site_label
_atom_site_type_symbol
_atom_site_fract_x
_atom_site_fract_y
_atom_site_fract_z
Mo1 Mo 0.0000 0.0000 0.0000
W1 W 0.0000 0.0000 0.4618
W2 W 0.3333 0.6667 0.2313
S1 S 0.0000 0.0000 0.1762
S2 S 0.0000 0.0000 0.2864
S3 S 0.3333 0.6667 0.0548
S4 S 0.3333 0.6667 0.4067
S5 S 0.3333 0.6667 0.5169
S6 S 0.3333 0.6667 0.9452
```



2.
Density functional theory data (r2SCAN) for a relaxed structure of Tm5Ir3.

Output
Calculated volume, A^3/atom: 22.30
ρ, kg/m³: 13230
Calculated formation energy, meV/atom: -985
Energy above the most stable polymorph in this dataset, meV per atom: 0.0

Geometry as CIF:
```
data_Tm5Ir3
_chemical_formula_sum 'Tm20 Ir12'
_symmetry_space_group_name_H-M 'P 4/n c c'
_symmetry_Int_Tables_number 130
_cell_length_a 10.6699
_cell_length_b 10.6699
_cell_length_c 6.2680
_cell_angle_alpha 90.00
_cell_angle_beta 90.00
_cell_angle_gamma 90.00
loop_
_symmetry_equiv_pos_as_xyz
'x,y,z'
'-x,-y,-z'
'-y+1/2,x,z'
'y+1/2,-x,-z'
'-x+1/2,-y+1/2,z'
'x+1/2,y+1/2,-z'
'y,-x+1/2,z'
'-y,x+1/2,-z'
'x+1/2,-y,-z+1/2'
'-x+1/2,y,z+1/2'
'-y,-x,-z+1/2'
'y,x,z+1/2'
'-x,y+1/2,-z+1/2'
'x,-y+1/2,z+1/2'
'y+1/2,x+1/2,-z+1/2'
'-y+1/2,-x+1/2,z+1/2'
loop_
_atom_site_label
_atom_site_type_symbol
_atom_site_fract_x
_atom_site_fract_y
_atom_site_fract_z
Tm1 Tm 0.0415 0.1626 0.1197
Tm2 Tm 0.2500 0.7500 0.0000
Ir1 Ir 0.0964 0.5964 0.7500
Ir2 Ir 0.2500 0.2500 0.3731
```



3.
Density functional theory data (r2SCAN) for a relaxed structure of BaTiO3.

Output
Calculated volume, A^3/atom: 13.07
ρ, kg/m³: 5927
Calculated formation energy, meV/atom: -3363

Geometry as CIF:
```
data_BaTiO3
_chemical_formula_sum 'Ba1 Ti1 O3'
_symmetry_space_group_name_H-M 'P 4 m m'
_symmetry_Int_Tables_number 99
_cell_length_a 3.9904
_cell_length_b 3.9904
_cell_length_c 4.1027
_cell_angle_alpha 90.00
_cell_angle_beta 90.00
_cell_angle_gamma 90.00
loop_
_symmetry_equiv_pos_as_xyz
'x,y,z'
'-y,x,z'
'-x,-y,z'
'y,-x,z'
'-x,y,z'
'y,x,z'
'x,-y,z'
'-y,-x,z'
loop_
_atom_site_label
_atom_site_type_symbol
_atom_site_fract_x
_atom_site_fract_y
_atom_site_fract_z
Ba1 Ba 0.0000 0.0000 0.0000
Ti1 Ti 0.5000 0.5000 0.5175
O1 O 0.0000 0.5000 0.4817
O2 O 0.5000 0.5000 0.9664
```



4.
Density functional theory data (r2SCAN) for a relaxed structure of Gd2GeBr2.

Output
Calculated volume, A^3/atom: 30.67
ρ, kg/m³: 5923
Calculated formation energy, meV/atom: -1644

Geometry as CIF:
```
data_Gd2GeBr2
_chemical_formula_sum 'Gd2 Ge1 Br2'
_symmetry_space_group_name_H-M 'P -3 m 1'
_symmetry_Int_Tables_number 164
_symmetry_space_group_name_Hall '-P 3 2"'
_cell_length_a 4.1897
_cell_length_b 4.1897
_cell_length_c 10.0871
_cell_angle_alpha 90.00
_cell_angle_beta 90.00
_cell_angle_gamma 120.00
loop_
_atom_site_label
_atom_site_type_symbol
_atom_site_fract_x
_atom_site_fract_y
_atom_site_fract_z
Gd1 Gd 0.3333 0.6667 0.1600
Ge1 Ge 0.0000 0.0000 0.0000
Br1 Br 0.3333 0.6667 0.6660
```



5.
Density functional theory data (r2SCAN) for a relaxed structure of NbSe2Br2.

Output
Calculated volume, A^3/atom: 27.38
ρ, kg/m³: 4981
Calculated formation energy, meV/atom: -887

Geometry as CIF:
```
data_NbSe2Br2
_chemical_formula_sum 'Nb4 Se8 Br8'
_symmetry_space_group_name_H-M 'C 1 2/m 1'
_symmetry_Int_Tables_number 12
_cell_length_a 6.7410
_cell_length_b 11.7849
_cell_length_c 7.3971
_cell_angle_alpha 90.00
_cell_angle_beta 111.27
_cell_angle_gamma 90.00
loop_
_symmetry_equiv_pos_as_xyz
'x,y,z'
'-x,-y,-z'
'-x,y,-z'
'x,-y,z'
'x+1/2,y+1/2,z'
'-x+1/2,-y+1/2,-z'
'-x+1/2,y+1/2,-z'
'x+1/2,-y+1/2,z'
loop_
_atom_site_label
_atom_site_type_symbol
_atom_site_fract_x
_atom_site_fract_y
_atom_site_fract_z
Nb1 Nb 0.0000 0.1256 0.0000
Se1 Se 0.1388 0.0000 0.3179
Se2 Se 0.1553 0.5000 0.8687
Br1 Br 0.2240 0.2078 0.7771
```



6.
Density functional theory data (r2SCAN) for a relaxed structure of VF5.

Output
Calculated volume, A^3/atom: 14.27
ρ, kg/m³: 2830
Calculated formation energy, meV/atom: -2826

Geometry as CIF:
```
data_VF5
_chemical_formula_sum 'V8 F40'
_symmetry_space_group_name_H-M 'C m c e'
_symmetry_Int_Tables_number 64
_symmetry_space_group_name_Hall '-C 2ac 2'
_cell_length_a 8.2231
_cell_length_b 7.1715
_cell_length_c 11.6178
_cell_angle_alpha 90.00
_cell_angle_beta 90.00
_cell_angle_gamma 90.00
loop_
_atom_site_label
_atom_site_type_symbol
_atom_site_fract_x
_atom_site_fract_y
_atom_site_fract_z
V1 V 0.0000 0.1722 0.0861
F1 F 0.0000 0.0020 0.8089
F2 F 0.0000 0.1968 0.4592
F3 F 0.1432 0.0000 0.0000
F4 F 0.1646 0.2152 0.6430
```



7.
Density functional theory data (r2SCAN) for a relaxed structure of Ho5Mg.

Output
Calculated volume, A^3/atom: 30.26
ρ, kg/m³: 7763
Calculated formation energy, meV/atom: 15
Energy above the most stable polymorph in this dataset, meV per atom: 0.0

Geometry as CIF:
```
data_Ho5Mg
_chemical_formula_sum 'Ho10 Mg2'
_symmetry_space_group_name_H-M 'A m m 2'
_symmetry_Int_Tables_number 38
_cell_length_a 5.6176
_cell_length_b 3.5572
_cell_length_c 18.1744
_cell_angle_alpha 90.00
_cell_angle_beta 90.00
_cell_angle_gamma 90.00
loop_
_symmetry_equiv_pos_as_xyz
'x,y,z'
'-x,-y,z'
'-x,y,z'
'x,-y,z'
'x,y+1/2,z+1/2'
'-x,-y+1/2,z+1/2'
'-x,y+1/2,z+1/2'
'x,-y+1/2,z+1/2'
loop_
_atom_site_label
_atom_site_type_symbol
_atom_site_fract_x
_atom_site_fract_y
_atom_site_fract_z
Ho1 Ho 0.0000 0.0000 0.0000
Ho2 Ho 0.0000 0.0000 0.3293
Ho3 Ho 0.0000 0.0000 0.6675
Ho4 Ho 0.5000 0.0000 0.1136
Ho5 Ho 0.5000 0.0000 0.4456
Mg1 Mg 0.5000 0.0000 0.7761
```



8.
Density functional theory data (r2SCAN) for a relaxed structure of DySnPd.

Output
Calculated volume, A^3/atom: 21.92
ρ, kg/m³: 9790
Calculated formation energy, meV/atom: -986

Geometry as CIF:
```
data_DySnPd
_chemical_formula_sum 'Dy4 Sn4 Pd4'
_symmetry_space_group_name_H-M 'P n m a'
_symmetry_Int_Tables_number 62
_cell_length_a 7.1905
_cell_length_b 4.6084
_cell_length_c 7.9366
_cell_angle_alpha 90.00
_cell_angle_beta 90.00
_cell_angle_gamma 90.00
loop_
_symmetry_equiv_pos_as_xyz
'x,y,z'
'-x,-y,-z'
'-x+1/2,-y,z+1/2'
'x+1/2,y,-z+1/2'
'x+1/2,-y+1/2,-z+1/2'
'-x+1/2,y+1/2,z+1/2'
'-x,y+1/2,-z'
'x,-y+1/2,z'
loop_
_atom_site_label
_atom_site_type_symbol
_atom_site_fract_x
_atom_site_fract_y
_atom_site_fract_z
Dy1 Dy 0.0089 0.2500 0.2064
Sn1 Sn 0.1947 0.2500 0.5875
Pd1 Pd 0.2047 0.7500 0.4162
```



9.
Density functional theory data (r2SCAN) for a relaxed structure of YErCu2.

Output
Calculated volume, A^3/atom: 20.23
ρ, kg/m³: 7866
Calculated formation energy, meV/atom: -249

Geometry as CIF:
```
data_YErCu2
_chemical_formula_sum 'Y4 Er4 Cu8'
_symmetry_space_group_name_H-M 'F m -3 m'
_symmetry_Int_Tables_number 225
_symmetry_space_group_name_Hall '-F 4 2 3'
_cell_length_a 6.8658
_cell_length_b 6.8658
_cell_length_c 6.8658
_cell_angle_alpha 90.00
_cell_angle_beta 90.00
_cell_angle_gamma 90.00
loop_
_atom_site_label
_atom_site_type_symbol
_atom_site_fract_x
_atom_site_fract_y
_atom_site_fract_z
Y1 Y 0.0000 0.0000 0.0000
Er1 Er 0.0000 0.0000 0.5000
Cu1 Cu 0.2500 0.2500 0.2500
```



10.
Density functional theory data (r2SCAN) for a relaxed structure of LuSbO4.

Output
Calculated volume, A^3/atom: 11.96
ρ, kg/m³: 8344
Calculated formation energy, meV/atom: -2715

Geometry as CIF:
```
data_LuSbO4
_chemical_formula_sum 'Lu4 Sb4 O16'
_symmetry_space_group_name_H-M 'P 1 21/c 1'
_symmetry_Int_Tables_number 14
_cell_length_a 7.5044
_cell_length_b 5.2377
_cell_length_c 7.3849
_cell_angle_alpha 90.00
_cell_angle_beta 98.41
_cell_angle_gamma 90.00
loop_
_symmetry_equiv_pos_as_xyz
'x,y,z'
'-x,-y,-z'
'-x,y+1/2,-z+1/2'
'x,-y+1/2,z+1/2'
loop_
_atom_site_label
_atom_site_type_symbol
_atom_site_fract_x
_atom_site_fract_y
_atom_site_fract_z
Lu1 Lu 0.1450 0.2273 0.3826
Sb1 Sb 0.3356 0.7328 0.1905
O1 O 0.1086 0.5285 0.1772
O2 O 0.1807 0.0213 0.1140
O3 O 0.3272 0.6093 0.9365
O4 O 0.4299 0.0950 0.8104
```



| no. | total moment (Bohr magnetons per cell) |
| --- | --- |
| 1 | 0.00 |
| 2 | 0.00 |
| 3 | 0.00 |
| 4 | 13.98 |
| 5 | 0.00 |
| 6 | 0.00 |
| 7 | 4.81 |
| 8 | 0.00 |
| 9 | 0.00 |
| 10 | 0.00 |